First-principles (PBE) data for a relaxed Na7Ca2Zn2P3S3O24 crystal, as listed in Materials Project.

## Properties
Raw total energy: -0.44295 Ry per atom
DFT formation energy: -2.449 eV/atom
Magnetization: 0.0 μB/f.u.

a b c (Å): 9.250 9.251 22.372
angles (deg): 89.66 89.50 60.24
Fractional positions:
Na 0.000 0.000 0.000
Na 0.003 0.632 0.752
Na 0.006 0.330 0.182
Na 0.028 0.944 0.672
Na 0.294 0.322 0.676
Na 0.309 0.682 0.163
Na 0.330 0.976 0.590
Na 0.331 0.609 0.837
Na 0.356 0.660 0.517
Na 0.358 0.291 0.995
Na 0.361 0.972 0.086
Na 0.622 0.669 0.011
Na 0.634 0.013 0.512
Na 0.651 0.694 0.667
Na 0.659 0.320 0.917
Na 0.663 0.320 0.430
Na 0.690 0.995 0.840
Na 0.698 0.611 0.342
Na 0.963 0.994 0.350
Na 0.980 0.294 0.503
Na 0.982 0.643 0.256
Ca 0.332 0.994 0.242
Ca 0.653 0.319 0.274
Ca 0.654 0.320 0.074
Ca 0.979 0.668 0.101
Ca 0.994 0.648 0.903
Ca 0.995 0.645 0.412
Zn 0.313 0.994 0.440
Zn 0.332 0.990 0.933
Zn 0.332 0.992 0.741
Zn 0.635 0.316 0.763
Zn 0.657 0.325 0.581
Zn 0.973 0.684 0.601
P 0.020 0.289 0.342
P 0.302 0.664 0.002
P 0.332 0.282 0.835
P 0.353 0.624 0.674
P 0.659 0.019 0.672
P 0.660 0.629 0.174
P 0.675 0.965 0.997
P 0.681 0.654 0.510
P 0.991 0.966 0.507
S 0.028 0.994 0.837
S 0.298 0.349 0.513
S 0.325 0.690 0.343
S 0.342 0.327 0.169
S 0.617 0.688 0.836
S 0.628 0.986 0.348
S 0.951 0.320 0.673
S 0.971 0.009 0.174
S 0.999 0.339 0.008
O 0.004 0.834 0.175
O 0.014 0.839 0.836
O 0.015 0.412 0.064
O 0.022 0.850 0.563
O 0.104 0.204 0.283
O 0.111 0.000 0.893
O 0.120 0.168 0.678
O 0.121 0.186 0.398
O 0.129 0.983 0.783
O 0.134 0.004 0.172
O 0.150 0.985 0.504
O 0.154 0.174 0.000
O 0.169 0.682 0.345
O 0.179 0.485 0.173
O 0.179 0.637 0.669
O 0.184 0.461 0.835
O 0.196 0.431 0.567
O 0.203 0.682 0.061
O 0.211 0.641 0.949
O 0.220 0.450 0.459
O 0.309 0.186 0.171
O 0.312 0.827 0.997
O 0.315 0.180 0.509
O 0.318 0.779 0.287
O 0.323 0.194 0.777
O 0.333 0.802 0.677
O 0.338 0.780 0.396
O 0.342 0.182 0.892
O 0.425 0.321 0.112
O 0.435 0.518 0.731
O 0.443 0.324 0.220
O 0.466 0.539 0.618
O 0.468 0.329 0.515
O 0.474 0.523 0.344
O 0.479 0.511 0.003
O 0.497 0.987 0.997
O 0.498 0.293 0.834
O 0.499 0.800 0.172
O 0.500 0.002 0.675
O 0.507 0.814 0.506
O 0.518 0.771 0.891
O 0.531 0.787 0.781
O 0.537 0.989 0.404
O 0.541 0.978 0.295
O 0.632 0.520 0.834
O 0.637 0.130 0.617
O 0.651 0.133 0.347
O 0.653 0.536 0.117
O 0.660 0.497 0.517
O 0.662 0.137 0.003
O 0.664 0.529 0.231
O 0.689 0.095 0.729
O 0.764 0.848 0.050
O 0.773 0.678 0.564
O 0.773 0.886 0.938
O 0.782 0.677 0.837
O 0.785 0.624 0.452
O 0.796 0.834 0.346
O 0.815 0.842 0.668
O 0.822 0.636 0.175
O 0.833 0.140 0.514
O 0.840 0.338 0.724
O 0.846 0.299 0.347
O 0.854 0.311 0.008
O 0.858 0.141 0.835
O 0.875 0.095 0.228
O 0.880 0.302 0.616
O 0.881 0.097 0.119
O 0.967 0.887 0.451
O 0.971 0.471 0.672
O 0.976 0.452 0.957
O 0.990 0.469 0.341